(1)
Below is an optimized crystal structure of BaCuO2, with properties calculated at the PBE level.

- magnetization (μB per cell) = 3.17
- E_tot (eV/atom) = -5.513
- symmetry = No. 4
- ΔH_f (0 K) (eV per atom) = -1.88
- ρ (g cm⁻³) = 5.787

```
BaCuO2
1.0
3.703 0.000 0.000
0.000 11.910 0.000
-0.001 0.000 6.061
Ba Cu O
4 4 8
Cartesian
0.003 0.000 2.918 Ba
0.010 9.355 5.943 Ba
3.692 3.400 0.118 Ba
3.698 5.955 3.143 Ba
1.830 3.204 3.128 Cu
1.840 0.192 5.973 Cu
1.861 6.147 0.088 Cu
1.872 9.159 2.933 Cu
0.009 6.638 5.994 O
0.021 8.673 3.095 O
1.841 4.553 4.599 O
1.845 4.806 1.566 O
1.857 10.761 4.495 O
1.861 10.508 1.462 O
3.681 2.718 2.966 O
3.693 0.683 0.068 O
```


(2)
Below is an optimized crystal structure of I3O8, with properties calculated at the PBE level.

- magnetization (μB per cell) = 4.00
- E_tot (eV/atom) = -4.137
- symmetry = No. 14
- ΔH_f (0 K) (eV per atom) = -0.62
- ρ (g cm⁻³) = 4.835

```
I3O8
1.0
7.691 0.000 0.000
0.000 7.885 0.000
-7.617 0.000 11.524
I O
12 32
Cartesian
-1.937 0.357 3.594 I
-5.746 3.585 9.356 I
1.852 5.760 1.071 I
-1.957 6.067 6.833 I
2.618 1.876 1.197 I
-1.190 2.067 6.959 I
1.264 5.818 4.565 I
-2.545 6.009 10.327 I
2.030 1.818 4.691 I
-1.778 2.125 10.453 I
5.819 4.300 2.168 I
2.011 7.528 7.930 I
-5.792 0.391 9.599 O
-1.984 3.551 3.837 O
-6.109 5.166 10.252 O
-2.301 6.661 4.490 O
-2.471 1.394 5.865 O
1.338 2.548 0.103 O
-0.090 4.829 2.475 O
-3.899 6.998 8.237 O
-2.717 4.448 6.715 O
1.091 7.380 0.953 O
-3.325 4.383 9.956 O
0.483 7.444 4.194 O
1.429 1.950 2.778 O
-2.380 1.993 8.540 O
-3.496 1.631 10.919 O
0.313 2.312 5.157 O
-0.239 5.573 6.367 O
3.569 6.255 0.605 O
2.454 5.892 2.984 O
-1.355 5.936 8.746 O
-0.410 0.441 7.330 O
3.399 3.502 1.568 O
-1.018 0.506 10.571 O
2.791 3.437 4.809 O
3.973 0.887 3.287 O
0.164 3.056 9.049 O
-1.264 5.337 11.421 O
2.544 6.491 5.659 O
2.374 1.224 7.034 O
6.183 2.719 1.272 O
2.058 4.334 7.687 O
5.866 7.494 1.925 O
```


(3)
Below is an optimized crystal structure of PbIBr, with properties calculated at the PBE level.

- magnetization (μB per cell) = 0.00
- E_tot (eV/atom) = -3.052
- symmetry = No. 62
- ΔH_f (0 K) (eV per atom) = -0.94
- ρ (g cm⁻³) = 6.245

```
PbIBr
1.0
8.957 0.000 0.000
0.000 4.518 0.000
0.000 0.000 10.880
Pb I Br
4 4 4
Cartesian
1.336 1.130 1.677 Pb
3.143 3.389 7.117 Pb
5.814 1.130 3.763 Pb
7.621 3.389 9.203 Pb
0.013 1.130 7.356 I
4.466 3.389 1.917 I
4.491 1.130 8.963 I
8.944 3.389 3.523 I
1.405 3.389 10.341 Br
3.073 1.130 4.901 Br
5.884 3.389 5.978 Br
7.552 1.130 0.539 Br
```


(4)
Below is an optimized crystal structure of Li3Cu2S3O12, with properties calculated at the PBE level.

- magnetization (μB per cell) = 4.00
- E_tot (eV/atom) = -5.722
- symmetry = No. 14
- ΔH_f (0 K) (eV per atom) = -1.85
- ρ (g cm⁻³) = 3.012

```
Li3Cu2S3O12
1.0
8.665 0.000 0.000
0.000 8.779 0.000
-8.544 0.000 12.643
Li Cu S O
12 8 12 48
Cartesian
-2.477 1.994 4.060 Li
-6.749 2.396 10.381 Li
0.796 1.725 3.119 Li
-3.476 2.664 9.440 Li
0.704 5.118 3.813 Li
-3.568 8.050 10.134 Li
3.689 0.729 2.509 Li
-0.583 3.661 8.830 Li
3.597 6.115 3.203 Li
-0.675 7.054 9.524 Li
6.870 6.383 2.262 Li
2.598 6.785 8.583 Li
-2.169 4.760 5.063 Cu
-6.441 8.408 11.385 Cu
2.207 4.703 1.242 Cu
-2.065 8.465 7.564 Cu
2.185 0.314 5.079 Cu
-2.087 4.076 11.401 Cu
6.562 0.371 1.258 Cu
2.290 4.019 7.580 Cu
-5.094 0.879 8.262 S
-0.822 3.511 1.940 S
-3.382 5.410 8.211 S
0.890 7.758 1.889 S
-0.278 2.192 6.244 S
-4.550 2.198 12.566 S
4.670 6.581 0.077 S
0.398 6.587 6.399 S
-0.769 1.021 10.754 S
3.503 3.369 4.432 S
0.942 5.268 10.703 S
5.214 7.900 4.381 S
-5.619 2.182 8.799 O
-1.347 2.207 2.477 O
-1.136 4.620 2.915 O
-5.408 8.548 9.237 O
-4.842 5.230 8.510 O
-0.570 7.939 2.188 O
-7.188 4.950 12.007 O
-2.916 8.218 5.686 O
-3.135 5.332 6.778 O
1.137 7.836 0.457 O
-3.589 1.037 8.267 O
0.683 3.353 1.945 O
-5.722 1.601 11.857 O
-1.450 2.789 5.536 O
1.298 6.407 2.429 O
-2.974 6.761 8.751 O
1.661 0.044 2.620 O
-2.611 4.346 8.942 O
-0.262 5.548 5.542 O
-4.534 7.621 11.864 O
-0.704 1.112 7.145 O
3.568 3.277 0.823 O
0.654 1.709 5.172 O
-3.618 2.681 11.493 O
3.738 6.098 1.150 O
-0.534 7.070 7.471 O
-3.448 5.502 11.820 O
0.824 7.666 5.499 O
4.655 1.158 0.779 O
0.383 3.231 7.101 O
2.732 4.433 3.701 O
-1.540 8.735 10.023 O
3.095 2.018 3.892 O
-1.177 2.372 10.214 O
1.570 5.990 7.107 O
5.842 7.178 0.786 O
-0.563 5.426 10.698 O
3.709 7.742 4.377 O
-1.016 0.943 12.187 O
3.256 3.447 5.865 O
3.037 0.561 6.957 O
7.309 3.829 0.636 O
0.691 0.840 10.455 O
4.963 3.549 4.133 O
5.529 0.231 3.406 O
1.257 4.159 9.728 O
1.468 6.572 10.166 O
5.740 6.597 3.844 O
```


(5)
Below is an optimized crystal structure of NiN, with properties calculated at the PBE level.

- magnetization (μB per cell) = 0.02
- E_tot (eV/atom) = -5.947
- symmetry = No. 221
- ΔH_f (0 K) (eV per atom) = 0.93
- ρ (g cm⁻³) = 7.387

```
NiN
1.0
2.538 0.000 0.000
0.000 2.538 0.000
0.000 0.000 2.538
Ni N
1 1
Cartesian
0.000 0.000 0.000 Ni
1.269 1.269 1.269 N
```


(6)
Below is an optimized crystal structure of AlH12O5F5, with properties calculated at the PBE level.

- magnetization (μB per cell) = 0.10
- E_tot (eV/atom) = -5.017
- symmetry = No. 7
- ΔH_f (0 K) (eV per atom) = -1.84
- ρ (g cm⁻³) = 1.813

```
AlH12O5F5
1.0
8.012 0.000 0.000
0.000 3.734 0.000
-4.255 0.000 13.104
Al H O F
2 24 10 10
Cartesian
0.000 0.078 0.000 Al
-2.127 3.656 6.552 Al
-3.170 1.814 9.841 H
-1.042 1.920 3.289 H
-1.832 0.695 9.528 H
0.295 3.039 2.976 H
-2.322 0.804 11.101 H
-0.195 2.930 4.549 H
2.031 0.840 1.948 H
-0.096 2.894 8.500 H
1.116 0.722 6.299 H
-1.011 3.012 12.851 H
3.339 1.702 1.375 H
1.212 2.032 7.927 H
2.954 1.789 3.146 H
0.827 1.945 9.698 H
0.434 1.711 11.603 H
2.562 2.023 5.052 H
2.626 0.750 6.845 H
4.753 2.984 0.294 H
1.724 0.899 11.066 H
3.851 2.835 4.514 H
6.104 0.875 2.030 H
3.977 2.859 8.582 H
5.617 0.775 3.588 H
3.490 2.959 10.140 H
-2.164 1.314 10.245 O
-0.037 2.420 3.693 O
2.948 1.208 2.168 O
0.820 2.526 8.720 O
1.858 1.317 6.583 O
3.986 2.417 0.031 O
0.836 1.272 10.809 O
2.963 2.462 4.257 O
5.942 1.397 2.877 O
3.815 2.337 9.429 O
-2.115 1.779 6.561 F
0.012 1.955 0.009 F
0.710 0.125 1.686 F
-1.418 3.609 8.238 F
-2.548 0.082 12.440 F
-0.421 3.652 5.888 F
6.328 0.085 0.694 F
4.200 3.649 7.246 F
3.082 0.106 11.423 F
5.210 3.628 4.871 F
```